[1]
# KBa4Fe10As10 PBE relaxed
# size of the total moment: 1.6 μB per formula unit
data_KBa4Fe10As10
_chemical_formula_sum 'K2 Ba8 Fe20 As20'
_symmetry_space_group_name_H-M 'I 4/m'
_symmetry_Int_Tables_number 87
_symmetry_space_group_name_Hall '-I 4'
_cell_length_a 8.818
_cell_length_b 8.818
_cell_length_c 12.870
_cell_angle_alpha 90.00
_cell_angle_beta 90.00
_cell_angle_gamma 90.00
loop_
_atom_site_label
_atom_site_fract_x
_atom_site_fract_y
_atom_site_fract_z
K1 0.000 0.000 0.000
Ba1 0.106 0.302 0.500
Fe1 0.000 0.500 0.250
Fe2 0.100 0.800 0.250
As1 0.000 0.000 0.344
As2 0.100 0.300 0.156

=====

[2]
# MgSnO2 PBE relaxed
# energy above the most stable polymorph in this dataset: 0.58 kcal/mol of atoms
# energy with MP2020 corrections: -6.02 eV/atom
# size of the total moment: 0.0 μB per formula unit
data_MgSnO2
_chemical_formula_sum 'Mg4 Sn4 O8'
_symmetry_space_group_name_H-M 'P -1'
_symmetry_Int_Tables_number 2
_symmetry_space_group_name_Hall '-P 1'
_cell_length_a 3.332
_cell_length_b 8.437
_cell_length_c 9.738
_cell_angle_alpha 71.68
_cell_angle_beta 85.98
_cell_angle_gamma 87.71
loop_
_atom_site_label
_atom_site_fract_x
_atom_site_fract_y
_atom_site_fract_z
Mg1 0.231 0.164 0.483
Mg2 0.237 0.626 0.285
Sn1 0.223 0.675 0.816
Sn2 0.488 0.048 0.796
O1 0.244 0.275 0.815
O2 0.244 0.384 0.307
O3 0.251 0.913 0.640
O4 0.285 0.782 0.405

=====

[3]
# Ce4Ge3S12 PBE relaxed
# energy with MP2020 corrections: -6.12 eV/atom
# size of the total moment: 4.0 μB per formula unit
data_Ce4Ge3S12
_chemical_formula_sum 'Ce24 Ge18 S72'
_symmetry_space_group_name_H-M 'R 3 c'
_symmetry_Int_Tables_number 161
_symmetry_space_group_name_Hall 'R 3 -2"c'
_cell_length_a 19.4659
_cell_length_b 19.4659
_cell_length_c 8.0478
_cell_angle_alpha 90.00
_cell_angle_beta 90.00
_cell_angle_gamma 120.00
loop_
_atom_site_label
_atom_site_fract_x
_atom_site_fract_y
_atom_site_fract_z
Ce1 0.0000 0.0000 0.0000
Ce2 0.0038 0.2318 0.2041
Ge1 0.1460 0.4667 0.3212
S1 0.0613 0.3919 0.5217
S2 0.0872 0.2006 0.4963
S3 0.1231 0.0613 0.2505
S4 0.1537 0.3778 0.1597

=====

[4]
# RbSnO3 PBE relaxed
# energy with MP2020 corrections: -5.62 eV/atom
# size of the total moment: 1.0 μB per formula unit
data_RbSnO3
_chemical_formula_sum 'Rb1 Sn1 O3'
_symmetry_space_group_name_H-M 'P m -3 m'
_symmetry_Int_Tables_number 221
_symmetry_space_group_name_Hall '-P 4 2 3'
_cell_length_a 4.201
_cell_length_b 4.201
_cell_length_c 4.201
_cell_angle_alpha 90.00
_cell_angle_beta 90.00
_cell_angle_gamma 90.00
loop_
_atom_site_label
_atom_site_fract_x
_atom_site_fract_y
_atom_site_fract_z
Rb1 0.000 0.000 0.000
Sn1 0.500 0.500 0.500
O1 0.000 0.500 0.500

=====

[5]
# CaHo2Se4 PBE relaxed
# energy with MP2020 corrections: -5.77 eV/atom
data_CaHo2Se4
_chemical_formula_sum 'Ca1 Ho2 Se4'
_symmetry_space_group_name_H-M 'P 1 2/m 1'
_symmetry_Int_Tables_number 10
_symmetry_space_group_name_Hall '-P 2y'
_cell_length_a 7.023
_cell_length_b 4.138
_cell_length_c 7.245
_cell_angle_alpha 90.00
_cell_angle_beta 107.95
_cell_angle_gamma 90.00
loop_
_atom_site_label
_atom_site_fract_x
_atom_site_fract_y
_atom_site_fract_z
Ca1 0.000 0.000 0.000
Ho1 0.000 0.500 0.500
Ho2 0.500 0.000 0.500
Se1 0.241 0.000 0.730
Se2 0.258 0.500 0.260

=====

[6]
# ErAl6Fe6

A geometry-optimized ErAl6Fe6 structure (PBE, the Materials Project).

Cell and atoms, written as CIF:
```
data_ErAl6Fe6
_chemical_formula_sum 'Er2 Al12 Fe12'
_symmetry_space_group_name_H-M 'I m m m'
_symmetry_Int_Tables_number 71
_symmetry_space_group_name_Hall '-I 2 2'
_cell_length_a 4.984
_cell_length_b 8.477
_cell_length_c 8.619
_cell_angle_alpha 90.00
_cell_angle_beta 90.00
_cell_angle_gamma 90.00
loop_
_atom_site_label
_atom_site_fract_x
_atom_site_fract_y
_atom_site_fract_z
Er1 0.000 0.000 0.000
Al1 0.000 0.000 0.346
Al2 0.000 0.336 0.000
Al3 0.000 0.500 0.308
Fe1 0.000 0.260 0.500
Fe2 0.250 0.250 0.250
```

=====

[7]
# CsCdBr3 PBE relaxed
# energy above the most stable polymorph in this dataset: 0.00 kcal/mol of atoms
# energy with MP2020 corrections: -2.94 eV/atom
data_CsCdBr3
_chemical_formula_sum 'Cs2 Cd2 Br6'
_symmetry_space_group_name_H-M 'P 63/m m c'
_symmetry_Int_Tables_number 194
_symmetry_space_group_name_Hall '-P 6c 2c'
_cell_length_a 7.8772
_cell_length_b 7.8772
_cell_length_c 6.9191
_cell_angle_alpha 90.00
_cell_angle_beta 90.00
_cell_angle_gamma 120.00
loop_
_atom_site_label
_atom_site_fract_x
_atom_site_fract_y
_atom_site_fract_z
Cs1 0.3333 0.6667 0.2500
Cd1 0.0000 0.0000 0.0000
Br1 0.1636 0.3271 0.7500

=====

[8]
# MgAs4P4O16 PBE relaxed
# energy above the most stable polymorph in this dataset: 0.83 kcal/mol of atoms
# energy with MP2020 corrections: -6.95 eV/atom
# size of the total moment: 0.0 μB per formula unit
data_MgAs4P4O16
_chemical_formula_sum 'Mg1 As4 P4 O16'
_symmetry_space_group_name_H-M 'P 1 m 1'
_symmetry_Int_Tables_number 6
_symmetry_space_group_name_Hall 'P -2y'
_cell_length_a 8.662
_cell_length_b 5.070
_cell_length_c 8.702
_cell_angle_alpha 90.00
_cell_angle_beta 98.58
_cell_angle_gamma 90.00
loop_
_atom_site_label
_atom_site_fract_x
_atom_site_fract_y
_atom_site_fract_z
Mg1 0.000 0.000 0.000
As1 0.045 0.000 0.294
As2 0.417 0.500 0.656
As3 0.542 0.000 0.177
As4 0.918 0.500 0.804
P1 0.077 0.000 0.695
P2 0.358 0.500 0.302
P3 0.598 0.000 0.835
P4 0.828 0.500 0.162
O1 0.072 0.240 0.828
O2 0.193 0.500 0.332
O3 0.237 0.000 0.652
O4 0.392 0.250 0.207
O5 0.480 0.500 0.461
O6 0.483 0.000 0.960
O7 0.566 0.247 0.728
O8 0.656 0.500 0.098
O9 0.769 0.000 0.906
O10 0.874 0.252 0.260
O11 0.924 0.000 0.591
O12 0.936 0.500 0.021

=====

[9]
# Mg13Al14 PBE relaxed
# size of the total moment: 0.1 μB per formula unit
data_Mg13Al14
_chemical_formula_sum 'Mg26 Al28'
_symmetry_space_group_name_H-M 'I m -3 m'
_symmetry_Int_Tables_number 229
_symmetry_space_group_name_Hall '-I 4 2 3'
_cell_length_a 10.197
_cell_length_b 10.197
_cell_length_c 10.197
_cell_angle_alpha 90.00
_cell_angle_beta 90.00
_cell_angle_gamma 90.00
loop_
_atom_site_label
_atom_site_fract_x
_atom_site_fract_y
_atom_site_fract_z
Mg1 0.000 0.000 0.000
Mg2 0.000 0.344 0.344
Al1 0.000 0.000 0.300
Al2 0.171 0.171 0.171

=====

[10]
# Na7Ca3SnP5SO24 PBE relaxed
# energy with MP2020 corrections: -6.83 eV/atom
# size of the total moment: 0.0 μB per formula unit
data_Na7Ca3SnP5SO24
_chemical_formula_sum 'Na21 Ca9 Sn3 P15 S3 O72'
_symmetry_space_group_name_H-M 'P 1'
_symmetry_Int_Tables_number 1
_symmetry_space_group_name_Hall 'P 1'
_cell_length_a 9.344
_cell_length_b 9.362
_cell_length_c 22.792
_cell_angle_alpha 90.00
_cell_angle_beta 89.94
_cell_angle_gamma 60.11
loop_
_atom_site_label
_atom_site_fract_x
_atom_site_fract_y
_atom_site_fract_z
Na1 0.000 0.000 0.000
Na2 0.001 0.356 0.748
Na3 0.015 0.034 0.320
Na4 0.025 0.662 0.834
Na5 0.282 0.417 0.323
Na6 0.284 0.036 0.829
Na7 0.322 0.322 0.657
Na8 0.324 0.685 0.915
Na9 0.338 0.678 0.412
Na10 0.340 0.011 0.496
Na11 0.619 0.729 0.000
Na12 0.628 0.048 0.081
Na13 0.646 0.046 0.569
Na14 0.660 0.403 0.833
Na15 0.668 0.651 0.322
Na16 0.675 0.714 0.654
Na17 0.676 0.339 0.159
Na18 0.967 0.708 0.159
Na19 0.971 0.066 0.657
Na20 0.994 0.363 0.234
Na21 0.999 0.720 0.488
Ca1 0.322 0.701 0.250
Ca2 0.323 0.707 0.762
Ca3 0.324 0.697 0.060
Ca4 0.333 0.697 0.556
Ca5 0.654 0.032 0.221
Ca6 0.654 0.034 0.728
Ca7 0.983 0.369 0.397
Ca8 0.988 0.366 0.581
Ca9 0.995 0.367 0.895
Sn1 0.652 0.039 0.927
Sn2 0.662 0.040 0.425
Sn3 0.998 0.362 0.087
P1 0.016 0.019 0.155
P2 0.297 0.069 0.988
P3 0.306 0.357 0.488
P4 0.311 0.397 0.158
P5 0.320 0.010 0.658
P6 0.362 0.332 0.825
P7 0.645 0.686 0.153
P8 0.653 0.332 0.324
P9 0.657 0.738 0.827
P10 0.681 0.692 0.488
P11 0.696 0.357 0.989
P12 0.951 0.033 0.827
P13 0.954 0.739 0.327
P14 0.977 0.679 0.989
P15 0.985 0.056 0.490
S1 0.021 0.697 0.658
S2 0.365 0.031 0.329
S3 0.629 0.397 0.660
O1 0.008 0.139 0.436
O2 0.103 0.912 0.102
O3 0.107 0.709 0.605
O4 0.112 0.945 0.213
O5 0.118 0.716 0.996
O6 0.119 0.680 0.711
O7 0.121 0.873 0.829
O8 0.125 0.731 0.326
O9 0.134 0.878 0.493
O10 0.146 0.390 0.148
O11 0.162 0.186 0.656
O12 0.189 0.349 0.831
O13 0.197 0.178 0.333
O14 0.201 0.376 0.434
O15 0.203 0.186 0.042
O16 0.205 0.138 0.931
O17 0.233 0.325 0.544
O18 0.275 0.495 0.216
O19 0.305 0.926 0.714
O20 0.320 0.896 0.997
O21 0.323 0.512 0.493
O22 0.334 0.493 0.108
O23 0.334 0.907 0.603
O24 0.348 0.504 0.828
O25 0.352 0.879 0.326
O26 0.434 0.241 0.767
O27 0.446 0.052 0.278
O28 0.463 0.012 0.384
O29 0.463 0.224 0.160
O30 0.475 0.051 0.988
O31 0.478 0.027 0.658
O32 0.481 0.193 0.484
O33 0.481 0.234 0.878
O34 0.498 0.507 0.325
O35 0.498 0.725 0.829
O36 0.502 0.727 0.491
O37 0.523 0.483 0.610
O38 0.527 0.510 0.997
O39 0.543 0.703 0.099
O40 0.552 0.488 0.715
O41 0.570 0.658 0.210
O42 0.627 0.241 0.379
O43 0.638 0.853 0.882
O44 0.654 0.227 0.660
O45 0.670 0.234 0.269
O46 0.670 0.868 0.485
O47 0.676 0.814 0.770
O48 0.683 0.828 0.157
O49 0.689 0.190 0.988
O50 0.766 0.591 0.434
O51 0.772 0.376 0.933
O52 0.784 0.617 0.545
O53 0.794 0.388 0.656
O54 0.806 0.852 0.989
O55 0.811 0.565 0.832
O56 0.812 0.344 0.331
O57 0.817 0.327 0.043
O58 0.820 0.518 0.148
O59 0.825 0.037 0.486
O60 0.839 0.044 0.158
O61 0.850 0.823 0.273
O62 0.855 0.016 0.882
O63 0.856 0.051 0.770
O64 0.856 0.850 0.659
O65 0.863 0.847 0.384
O66 0.953 0.586 0.043
O67 0.962 0.153 0.547
O68 0.971 0.187 0.831
O69 0.977 0.564 0.332
O70 0.997 0.197 0.149
O71 0.997 0.586 0.932
O72 0.999 0.550 0.655

=====

| no. | DFT formation energy (eV/atom) | DFT total energy (eV per formula unit) |
| --- | --- | --- |
| 1 | -0.49 | -152.252 |
| 2 | -2.14 | -22.691 |
| 3 | -1.53 | -110.271 |
| 4 | -1.65 | -26.022 |
| 5 | -2.18 | -38.518 |
| 6 | -0.39 | -82.960 |
| 7 | -1.60 | -13.104 |
| 8 | -2.11 | -162.788 |
| 9 | 0.06 | -71.512 |
| 10 | -2.70 | -263.478 |